[1]
# Yb2Mg (r²SCAN, optimized geometry)
# **Calculated volume**: 162.7 Å³ per cell
# **Final energy**: -154.8 eV for the cell shown
# **Energy of formation**: -62 meV per atom
data_Yb2Mg
_chemical_formula_sum 'Yb4 Mg2'
_space_group_name_H-M_alt 'P 1'
_space_group_IT_number 1
_cell_length_a 8.600
_cell_length_b 8.600
_cell_length_c 5.349
_cell_angle_alpha 90.00
_cell_angle_beta 90.00
_cell_angle_gamma 155.72
loop_
_space_group_symop_operation_xyz
'x,y,z'
loop_
_atom_site_label
_atom_site_type_symbol
_atom_site_fract_x
_atom_site_fract_y
_atom_site_fract_z
_atom_site_occupancy
Yb1 Yb 0.093 0.907 0.750 1
Yb2 Yb 0.228 0.772 0.250 1
Yb3 Yb 0.772 0.228 0.750 1
Yb4 Yb 0.907 0.093 0.250 1
Mg1 Mg 0.432 0.568 0.750 1
Mg2 Mg 0.568 0.432 0.250 1

---

[2]
# LaSnF7 (r²SCAN, optimized geometry)
# **Calculated volume**: 588.2 Å³ per cell
# **Final energy**: -431.1 eV for the cell shown
# **Energy of formation**: -3490 meV per atom
data_LaSnF7
_chemical_formula_sum 'La4 Sn4 F28'
_space_group_name_H-M_alt 'P 1'
_space_group_IT_number 1
_cell_length_a 9.311
_cell_length_b 5.727
_cell_length_c 12.522
_cell_angle_alpha 90.00
_cell_angle_beta 118.25
_cell_angle_gamma 90.00
loop_
_space_group_symop_operation_xyz
'x,y,z'
loop_
_atom_site_label
_atom_site_type_symbol
_atom_site_fract_x
_atom_site_fract_y
_atom_site_fract_z
_atom_site_occupancy
La1 La 0.189 0.240 0.265 1
La2 La 0.189 0.260 0.765 1
La3 La 0.811 0.740 0.235 1
La4 La 0.811 0.760 0.735 1
Sn1 Sn 0.274 0.745 0.043 1
Sn2 Sn 0.274 0.755 0.543 1
Sn3 Sn 0.726 0.245 0.457 1
Sn4 Sn 0.726 0.255 0.957 1
F1 F 0.033 0.738 0.948 1
F2 F 0.033 0.762 0.448 1
F3 F 0.038 0.603 0.731 1
F4 F 0.038 0.897 0.231 1
F5 F 0.258 0.553 0.169 1
F6 F 0.258 0.947 0.669 1
F7 F 0.269 0.025 0.133 1
F8 F 0.269 0.475 0.633 1
F9 F 0.284 0.043 0.459 1
F10 F 0.284 0.457 0.959 1
F11 F 0.288 0.556 0.419 1
F12 F 0.288 0.944 0.919 1
F13 F 0.486 0.234 0.362 1
F14 F 0.486 0.266 0.862 1
F15 F 0.514 0.734 0.138 1
F16 F 0.514 0.766 0.638 1
F17 F 0.712 0.056 0.081 1
F18 F 0.712 0.444 0.581 1
F19 F 0.716 0.543 0.041 1
F20 F 0.716 0.957 0.541 1
F21 F 0.731 0.525 0.367 1
F22 F 0.731 0.975 0.867 1
F23 F 0.742 0.053 0.331 1
F24 F 0.742 0.447 0.831 1
F25 F 0.962 0.103 0.769 1
F26 F 0.962 0.397 0.269 1
F27 F 0.967 0.238 0.552 1
F28 F 0.967 0.262 0.052 1

---

[3]
# MgCdAg2 (r²SCAN, optimized geometry)
# **Calculated volume**: 73.5 Å³ per cell
# **Final energy**: -67.5 eV for the cell shown
# **Energy of formation**: -133 meV per atom
data_MgCdAg2
_chemical_formula_sum 'Mg1 Cd1 Ag2'
_space_group_name_H-M_alt 'P 1'
_space_group_IT_number 1
_cell_length_a 3.224
_cell_length_b 3.224
_cell_length_c 7.071
_cell_angle_alpha 90.00
_cell_angle_beta 90.00
_cell_angle_gamma 90.00
loop_
_space_group_symop_operation_xyz
'x,y,z'
loop_
_atom_site_label
_atom_site_type_symbol
_atom_site_fract_x
_atom_site_fract_y
_atom_site_fract_z
_atom_site_occupancy
Mg1 Mg 0.000 0.000 0.000 1
Cd1 Cd 0.000 0.000 0.500 1
Ag1 Ag 0.500 0.500 0.240 1
Ag2 Ag 0.500 0.500 0.760 1

---

[4]
# NaPmTe2 (r²SCAN, optimized geometry)
# **Calculated volume**: 116.8 Å³ per cell
# **Final energy**: -89.2 eV for the cell shown
# **Energy of formation**: -1313 meV per atom
data_NaPmTe2
_chemical_formula_sum 'Na1 Pm1 Te2'
_space_group_name_H-M_alt 'P 1'
_space_group_IT_number 1
_cell_length_a 5.487
_cell_length_b 5.487
_cell_length_c 5.487
_cell_angle_alpha 60.00
_cell_angle_beta 60.00
_cell_angle_gamma 60.00
loop_
_space_group_symop_operation_xyz
'x,y,z'
loop_
_atom_site_label
_atom_site_type_symbol
_atom_site_fract_x
_atom_site_fract_y
_atom_site_fract_z
_atom_site_occupancy
Na1 Na 0.000 0.000 0.000 1
Pm1 Pm 0.500 0.500 0.500 1
Te1 Te 0.250 0.250 0.250 1
Te2 Te 0.750 0.750 0.750 1

---

[5]
# Y2As7Rh12 (r²SCAN, optimized geometry)
# **Calculated volume**: 331.0 Å³ per cell
# **Final energy**: -449.2 eV for the cell shown
# **Energy of formation**: -763 meV per atom
data_Y2As7Rh12
_chemical_formula_sum 'Y2 As7 Rh12'
_space_group_name_H-M_alt 'P 1'
_space_group_IT_number 1
_cell_length_a 9.888
_cell_length_b 9.888
_cell_length_c 3.909
_cell_angle_alpha 90.00
_cell_angle_beta 90.00
_cell_angle_gamma 120.00
loop_
_space_group_symop_operation_xyz
'x,y,z'
loop_
_atom_site_label
_atom_site_type_symbol
_atom_site_fract_x
_atom_site_fract_y
_atom_site_fract_z
_atom_site_occupancy
Y1 Y 0.000 0.000 0.000 1
Y2 Y 0.333 0.667 0.506 1
As1 As 0.072 0.620 0.003 1
As2 As 0.261 0.046 0.504 1
As3 As 0.380 0.451 0.003 1
As4 As 0.549 0.928 0.003 1
As5 As 0.667 0.333 0.267 1
As6 As 0.785 0.739 0.504 1
As7 As 0.954 0.215 0.504 1
Rh1 Rh 0.048 0.781 0.502 1
Rh2 Rh 0.115 0.400 0.004 1
Rh3 Rh 0.219 0.267 0.502 1
Rh4 Rh 0.285 0.885 0.004 1
Rh5 Rh 0.404 0.219 0.999 1
Rh6 Rh 0.516 0.069 0.508 1
Rh7 Rh 0.552 0.484 0.508 1
Rh8 Rh 0.600 0.715 0.004 1
Rh9 Rh 0.733 0.952 0.502 1
Rh10 Rh 0.781 0.184 0.999 1
Rh11 Rh 0.816 0.596 0.999 1
Rh12 Rh 0.931 0.448 0.508 1

---

[6]
# BaSiPd (r²SCAN, optimized geometry)
# **Calculated volume**: 303.4 Å³ per cell
# **Final energy**: -242.0 eV for the cell shown
# **Energy of formation**: -758 meV per atom
data_BaSiPd
_chemical_formula_sum 'Ba4 Si4 Pd4'
_space_group_name_H-M_alt 'P 1'
_space_group_IT_number 1
_cell_length_a 6.720
_cell_length_b 6.720
_cell_length_c 6.720
_cell_angle_alpha 90.00
_cell_angle_beta 90.00
_cell_angle_gamma 90.00
loop_
_space_group_symop_operation_xyz
'x,y,z'
loop_
_atom_site_label
_atom_site_type_symbol
_atom_site_fract_x
_atom_site_fract_y
_atom_site_fract_z
_atom_site_occupancy
Ba1 Ba 0.135 0.135 0.135 1
Ba2 Ba 0.365 0.865 0.635 1
Ba3 Ba 0.635 0.365 0.865 1
Ba4 Ba 0.865 0.635 0.365 1
Si1 Si 0.155 0.345 0.655 1
Si2 Si 0.345 0.655 0.155 1
Si3 Si 0.655 0.155 0.345 1
Si4 Si 0.845 0.845 0.845 1
Pd1 Pd 0.095 0.595 0.905 1
Pd2 Pd 0.405 0.405 0.405 1
Pd3 Pd 0.595 0.905 0.095 1
Pd4 Pd 0.905 0.095 0.595 1